Entry 1:
# CaRhO3 | Materials Project | PBE | optimized geometry
# Formation energy from the elements, eV/atom: -2.093
# Electronic total energy, eV/cell: -130.47
data_CaRhO3
_chemical_formula_sum 'Ca4 Rh4 O12'
_symmetry_space_group_name_H-M 'C m c m'
_symmetry_Int_Tables_number 63
_symmetry_space_group_name_Hall '-C 2c 2'
_cell_length_a 3.1611
_cell_length_b 9.9292
_cell_length_c 7.3775
_cell_angle_alpha 90.00
_cell_angle_beta 90.00
_cell_angle_gamma 90.00
loop_
_atom_site_label
_atom_site_fract_x
_atom_site_fract_y
_atom_site_fract_z
Ca1 0.0000 0.2494 0.2500
Rh1 0.0000 0.5000 0.0000
O1 0.0000 0.1271 0.5522
O2 0.0000 0.4232 0.7500

---

Entry 2:
# Li2V3S6 | Materials Project | PBE | optimized geometry
# Formation energy from the elements, eV/atom: -1.249
# Electronic total energy, eV/cell: -133.23
data_Li2V3S6
_chemical_formula_sum 'Li4 V6 S12'
_symmetry_space_group_name_H-M 'P 63/m c m'
_symmetry_Int_Tables_number 193
_symmetry_space_group_name_Hall '-P 6c 2'
_cell_length_a 5.5960
_cell_length_b 5.5960
_cell_length_c 14.8959
_cell_angle_alpha 90.00
_cell_angle_beta 90.00
_cell_angle_gamma 120.00
loop_
_atom_site_label
_atom_site_fract_x
_atom_site_fract_y
_atom_site_fract_z
Li1 0.3333 0.6667 0.0000
V1 0.0000 0.3253 0.2500
S1 0.0000 0.0000 0.1502
S2 0.3333 0.6667 0.1540

---

Entry 3:
# PtC2N2 | Materials Project | PBE | optimized geometry
# Formation energy from the elements, eV/atom: 0.431
# Electronic total energy, eV/cell: -306.60
data_PtC2N2
_chemical_formula_sum 'Pt8 C16 N16'
_symmetry_space_group_name_H-M 'I -4 2 d'
_symmetry_Int_Tables_number 122
_symmetry_space_group_name_Hall 'I -4 2bw'
_cell_length_a 7.0089
_cell_length_b 7.0089
_cell_length_c 13.2682
_cell_angle_alpha 90.00
_cell_angle_beta 90.00
_cell_angle_gamma 90.00
loop_
_atom_site_label
_atom_site_fract_x
_atom_site_fract_y
_atom_site_fract_z
Pt1 0.2169 0.2500 0.1250
C1 0.0164 0.2488 0.3250
N1 0.1429 0.2129 0.2699

---

What is the formula in the first record? CaRhO3